Record 1
VASP calculation (r²SCAN) on Tb4Sb6Rh7 after structural relaxation.

Cell and atoms, written as CIF:
```
data_Tb4Sb6Rh7
_chemical_formula_sum 'Tb8 Sb12 Rh14'
_space_group_name_H-M_alt 'I m -3 m'
_space_group_IT_number 229
_space_group_name_Hall '-I 4 2 3'
_cell_length_a 8.754
_cell_length_b 8.754
_cell_length_c 8.754
_cell_angle_alpha 90.00
_cell_angle_beta 90.00
_cell_angle_gamma 90.00
loop_
_atom_site_label
_atom_site_type_symbol
_atom_site_fract_x
_atom_site_fract_y
_atom_site_fract_z
_atom_site_occupancy
Tb1 Tb 0.250 0.250 0.250 1
Sb1 Sb 0.000 0.000 0.319 1
Rh1 Rh 0.000 0.000 0.000 1
Rh2 Rh 0.000 0.250 0.500 1
```

---

Record 2
VASP calculation (r²SCAN) on ScRh3 after structural relaxation.

Cell and atoms, written as CIF:
```
data_ScRh3
_chemical_formula_sum 'Sc1 Rh3'
_space_group_name_H-M_alt 'P m -3 m'
_space_group_IT_number 221
_space_group_name_Hall '-P 4 2 3'
_cell_length_a 3.904
_cell_length_b 3.904
_cell_length_c 3.904
_cell_angle_alpha 90.00
_cell_angle_beta 90.00
_cell_angle_gamma 90.00
loop_
_atom_site_label
_atom_site_type_symbol
_atom_site_fract_x
_atom_site_fract_y
_atom_site_fract_z
_atom_site_occupancy
Sc1 Sc 0.000 0.000 0.000 1
Rh1 Rh 0.000 0.500 0.500 1
```

---

Quick rundown of calculated formation energy, same order as above: -968.0; -641.1 meV/atom